i | Entry from Materials Project: a relaxed structure of Ba2YCl7 (PBE).

CIF file:
```
data_Ba2YCl7
_chemical_formula_sum 'Ba8 Y4 Cl28'
_cell_length_a 12.9651
_cell_length_b 7.6361
_cell_length_c 15.3845
_cell_angle_alpha 90.00
_cell_angle_beta 90.00
_cell_angle_gamma 90.00
_symmetry_space_group_name_H-M 'P n m a'
_symmetry_Int_Tables_number 62
loop_
_symmetry_equiv_pos_as_xyz
'x,y,z'
'-x,-y,-z'
'-x+1/2,-y,z+1/2'
'x+1/2,y,-z+1/2'
'x+1/2,-y+1/2,-z+1/2'
'-x+1/2,y+1/2,z+1/2'
'-x,y+1/2,-z'
'x,-y+1/2,z'
loop_
_atom_site_label
_atom_site_type_symbol
_atom_site_fract_x
_atom_site_fract_y
_atom_site_fract_z
Ba1 Ba 0.2409 0.2500 0.2437
Ba2 Ba 0.2433 0.2500 0.9555
Y1 Y 0.0591 0.2500 0.6936
Cl1 Cl 0.0942 0.2500 0.0987
Cl2 Cl 0.0967 0.5281 0.3425
Cl3 Cl 0.1090 0.0321 0.8235
Cl4 Cl 0.1697 0.0223 0.6018
```

***

ii | Entry from Materials Project: a relaxed structure of Ba2YCl7 (PBE).

CIF file:
```
data_Ba2YCl7
_chemical_formula_sum 'Ba8 Y4 Cl28'
_cell_length_a 6.9295
_cell_length_b 15.7508
_cell_length_c 10.6634
_cell_angle_alpha 90.00
_cell_angle_beta 90.73
_cell_angle_gamma 90.00
_symmetry_space_group_name_H-M 'P 1 21/c 1'
_symmetry_Int_Tables_number 14
loop_
_symmetry_equiv_pos_as_xyz
'x,y,z'
'-x,-y,-z'
'-x,y+1/2,-z+1/2'
'x,-y+1/2,z+1/2'
loop_
_atom_site_label
_atom_site_type_symbol
_atom_site_fract_x
_atom_site_fract_y
_atom_site_fract_z
Ba1 Ba 0.2342 0.0608 0.3236
Ba2 Ba 0.2346 0.7202 0.4509
Y1 Y 0.2828 0.1269 0.7820
Cl1 Cl 0.0115 0.2428 0.3018
Cl2 Cl 0.0131 0.1048 0.5860
Cl3 Cl 0.2050 0.5401 0.2870
Cl4 Cl 0.2088 0.1397 0.0281
Cl5 Cl 0.3710 0.5709 0.6239
Cl6 Cl 0.4988 0.2278 0.2947
Cl7 Cl 0.5001 0.1044 0.5714
```

***

iii | Entry from Materials Project: a relaxed structure of Ba2YCl7 (PBE).

CIF file:
```
data_Ba2YCl7
_chemical_formula_sum 'Ba8 Y4 Cl28'
_cell_length_a 7.1717
_cell_length_b 13.8796
_cell_length_c 12.4863
_cell_angle_alpha 90.00
_cell_angle_beta 95.19
_cell_angle_gamma 90.00
_symmetry_space_group_name_H-M 'P 1 21 1'
_symmetry_Int_Tables_number 4
loop_
_symmetry_equiv_pos_as_xyz
'x,y,z'
'-x,y+1/2,-z'
loop_
_atom_site_label
_atom_site_type_symbol
_atom_site_fract_x
_atom_site_fract_y
_atom_site_fract_z
Ba1 Ba 0.2066 0.0000 0.2730
Ba2 Ba 0.2313 0.7663 0.8790
Ba3 Ba 0.2442 0.4096 0.3780
Ba4 Ba 0.2617 0.1691 0.7612
Y1 Y 0.2920 0.7034 0.4590
Y2 Y 0.3104 0.4721 0.9553
Cl1 Cl 0.0176 0.5826 0.9717
Cl2 Cl 0.0203 0.8309 0.4055
Cl3 Cl 0.0312 0.5777 0.4913
Cl4 Cl 0.0673 0.3318 0.8960
Cl5 Cl 0.1151 0.9618 0.7709
Cl6 Cl 0.1212 0.2150 0.2741
Cl7 Cl 0.2693 0.6386 0.2582
Cl8 Cl 0.2925 0.5408 0.7570
Cl9 Cl 0.3862 0.7771 0.6468
Cl10 Cl 0.3947 0.3994 0.1456
Cl11 Cl 0.4148 0.8612 0.1071
Cl12 Cl 0.4459 0.0660 0.5180
Cl13 Cl 0.4624 0.1224 0.9991
Cl14 Cl 0.4648 0.3304 0.6100
```

***

iv | Entry from Materials Project: a relaxed structure of Ba2YCl7 (PBE).

CIF file:
```
data_Ba2YCl7
_chemical_formula_sum 'Ba8 Y4 Cl28'
_cell_length_a 8.8046
_cell_length_b 11.1627
_cell_length_c 14.7456
_cell_angle_alpha 90.00
_cell_angle_beta 117.10
_cell_angle_gamma 90.00
_symmetry_space_group_name_H-M 'P 1 21/c 1'
_symmetry_Int_Tables_number 14
loop_
_symmetry_equiv_pos_as_xyz
'x,y,z'
'-x,-y,-z'
'-x,y+1/2,-z+1/2'
'x,-y+1/2,z+1/2'
loop_
_atom_site_label
_atom_site_type_symbol
_atom_site_fract_x
_atom_site_fract_y
_atom_site_fract_z
Ba1 Ba 0.1341 0.2167 0.2963
Ba2 Ba 0.2662 0.7057 0.0310
Y1 Y 0.4540 0.0891 0.1317
Cl1 Cl 0.0466 0.5548 0.8462
Cl2 Cl 0.1228 0.1588 0.0804
Cl3 Cl 0.2487 0.6994 0.2399
Cl4 Cl 0.2888 0.5326 0.4495
Cl5 Cl 0.4242 0.2110 0.5233
Cl6 Cl 0.4335 0.0573 0.3088
Cl7 Cl 0.4413 0.1337 0.8072
```

***

The most stable arrangement is ii, and the next structure is 0.030 eV/atom less stable.